Record 1
NaH9O5 PBE relaxed; calculated formation energy = -1.3187 eV per atom; maximum piezoelectric response = 0.70 C/m²; calculated volume = 9.1 A^3/atom; total moment = 0.00 Bohr magnetons per cell; energy = -4.863 eV per atom
1.0
-2.3881 -0.5343 3.4027
-6.0118 -4.5240 -2.6105
1.1504 -9.0512 1.6905
Na H O
2 18 10
Direct
0.5382 0.7636 0.1256
0.4522 0.2709 0.8156
0.8115 0.9872 0.4102
0.9423 0.1844 0.3757
0.4337 0.8154 0.6293
0.7118 0.3597 0.1732
0.5320 0.4893 0.0168
0.0666 0.4988 0.9778
0.2630 0.6472 0.8241
0.5708 0.0912 0.1681
0.1945 0.0881 0.1891
0.8362 0.9119 0.7816
0.4607 0.9048 0.7904
0.0509 0.5363 0.3103
0.9737 0.6999 0.3712
0.0330 0.1608 0.7408
0.9107 0.5636 0.6244
0.0507 0.2957 0.5518
0.3434 0.2413 0.3975
0.0266 0.7439 0.6224
0.8209 0.1121 0.3299
0.2298 0.8324 0.6989
0.7008 0.4821 0.0874
0.2854 0.5100 0.9097
0.4029 0.0727 0.1186
0.6158 0.9415 0.8386
0.0093 0.6764 0.2714
0.0011 0.2948 0.6809
0.1098 0.2963 0.4104
0.8900 0.6993 0.5690

Record 2
Na3H2OsO6 PBE relaxed; calculated formation energy = -1.6836 eV per atom; calculated volume = 12.3 A^3/atom; total moment = 2.00 Bohr magnetons per cell; energy = -5.646 eV per atom
1.0
-5.1337 0.0000 2.8039
0.0438 0.0000 -6.0516
0.0000 -9.5586 0.0000
Na H Os O
6 4 2 12
Direct
0.9876 0.0145 0.7500
0.0124 0.9855 0.2500
0.5491 0.2553 0.5708
0.4509 0.7447 0.0708
0.4509 0.7447 0.4292
0.5491 0.2553 0.9292
0.0274 0.7510 0.5350
0.9726 0.2490 0.0350
0.9726 0.2490 0.4650
0.0274 0.7510 0.9650
0.2237 0.6211 0.7500
0.7763 0.3789 0.2500
0.8734 0.4822 0.7500
0.1266 0.5178 0.2500
0.5464 0.8907 0.7500
0.4536 0.1093 0.2500
0.2573 0.4287 0.6107
0.7427 0.5713 0.1107
0.7427 0.5713 0.3893
0.2573 0.4287 0.8893
0.1888 0.8563 0.5880
0.8112 0.1437 0.0880
0.8112 0.1437 0.4120
0.1888 0.8563 0.9120

Look up the energy of the first one. -4.863 eV per atom

Which value of calculated volume does entry 1 give? 9.1 A^3/atom